No. 1
This record from the Materials Project describes a relaxed Ta2MnO6 crystal. The functional is GGA+U.

Calculated values
Polymorph energy (0 for the lowest one), eV/f.u.: 0.00
Total energy after the MP2020 corrections, eV/atom: -10.05
E, eV for the cell shown: -338.67
Calculated formation energy, eV/atom: -3.0992

Cell and atoms, written as CIF:
```
data_Ta2MnO6
_symmetry_space_group_name_H-M 'P b c n'
_symmetry_Int_Tables_number 60
_cell_length_a 14.595
_cell_length_b 5.874
_cell_length_c 5.139
_cell_angle_alpha 90.00
_cell_angle_beta 90.00
_cell_angle_gamma 90.00
loop_
_symmetry_equiv_pos_as_xyz
'x,y,z'
'-x,-y,-z'
'-x+1/2,-y+1/2,z+1/2'
'x+1/2,y+1/2,-z+1/2'
'x+1/2,-y+1/2,-z'
'-x+1/2,y+1/2,z'
'-x,y,-z+1/2'
'x,-y,z+1/2'
loop_
_atom_site_label
_atom_site_fract_x
_atom_site_fract_y
_atom_site_fract_z
Ta1 0.163 0.175 0.239
Mn1 0.000 0.329 0.750
O1 0.082 0.380 0.099
O2 0.100 0.099 0.563
O3 0.245 0.130 0.915
```

=====

No. 2
This record from the Materials Project describes a relaxed Li2NiP4O12 crystal. The functional is GGA+U.

Calculated values
Polymorph energy (0 for the lowest one), eV/f.u.: 1.52
Total energy after the MP2020 corrections, eV/atom: -7.23
Total magnetic moment, μB per atom: 0.1053
E, eV for the cell shown: -506.31
Calculated formation energy, eV/atom: -2.4598

Cell and atoms, written as CIF:
```
data_Li2NiP4O12
_symmetry_space_group_name_H-M 'P 1 21/c 1'
_symmetry_Int_Tables_number 14
_cell_length_a 7.663
_cell_length_b 12.478
_cell_length_c 11.601
_cell_angle_alpha 90.00
_cell_angle_beta 117.00
_cell_angle_gamma 90.00
loop_
_symmetry_equiv_pos_as_xyz
'x,y,z'
'-x,-y,-z'
'-x,y+1/2,-z+1/2'
'x,-y+1/2,z+1/2'
loop_
_atom_site_label
_atom_site_fract_x
_atom_site_fract_y
_atom_site_fract_z
Li1 0.031 0.202 0.142
Li2 0.464 0.560 0.598
Ni1 0.259 0.152 0.512
P1 0.066 0.563 0.864
P2 0.081 0.666 0.646
P3 0.387 0.679 0.308
P4 0.441 0.580 0.097
O1 0.043 0.050 0.395
O2 0.070 0.561 0.725
O3 0.074 0.148 0.637
O4 0.123 0.207 0.932
O5 0.186 0.747 0.267
O6 0.197 0.637 0.575
O7 0.287 0.604 0.951
O8 0.333 0.642 0.165
O9 0.371 0.135 0.378
O10 0.391 0.585 0.392
O11 0.438 0.249 0.149
O12 0.440 0.036 0.630
```

=====

No. 3
This record from the Materials Project describes a relaxed Rb2V3P4O17 crystal. The functional is GGA+U.

Calculated values
Total energy after the MP2020 corrections, eV/atom: -7.76
Total magnetic moment, μB per atom: 0.0362
E, eV for the cell shown: -740.26
Calculated formation energy, eV/atom: -2.5717

Cell and atoms, written as CIF:
```
data_Rb2V3P4O17
_symmetry_space_group_name_H-M 'P n a 21'
_symmetry_Int_Tables_number 33
_cell_length_a 17.803
_cell_length_b 11.713
_cell_length_c 7.396
_cell_angle_alpha 90.00
_cell_angle_beta 90.00
_cell_angle_gamma 90.00
loop_
_symmetry_equiv_pos_as_xyz
'x,y,z'
'-x,-y,z+1/2'
'-x+1/2,y+1/2,z+1/2'
'x+1/2,-y+1/2,z'
loop_
_atom_site_label
_atom_site_fract_x
_atom_site_fract_y
_atom_site_fract_z
Rb1 0.138 0.034 0.000
Rb2 0.180 0.645 0.000
V1 0.001 0.501 0.275
V2 0.099 0.162 0.500
V3 0.190 0.838 0.500
P1 0.029 0.787 0.298
P2 0.029 0.787 0.703
P3 0.171 0.387 0.299
P4 0.171 0.387 0.701
O1 0.007 0.211 0.000
O2 0.010 0.511 0.502
O3 0.021 0.131 0.312
O4 0.021 0.131 0.688
O5 0.026 0.666 0.223
O6 0.026 0.666 0.778
O7 0.109 0.834 0.307
O8 0.109 0.834 0.692
O9 0.110 0.464 0.227
O10 0.110 0.464 0.773
O11 0.149 0.261 0.316
O12 0.149 0.261 0.684
O13 0.151 0.045 0.500
O14 0.193 0.432 0.500
O15 0.220 0.706 0.500
O16 0.244 0.405 0.195
O17 0.244 0.405 0.805
```

=====

No. 4
This record from the Materials Project describes a relaxed Mn3OF5 crystal. The functional is GGA+U.

Calculated values
Polymorph energy (0 for the lowest one), eV/f.u.: 0.18
Total energy after the MP2020 corrections, eV/atom: -7.39
Total magnetic moment, μB per atom: 1.5557
E, eV for the cell shown: -234.19
Calculated formation energy, eV/atom: -2.7267

Cell and atoms, written as CIF:
```
data_Mn3OF5
_symmetry_space_group_name_H-M 'C 1 2/m 1'
_symmetry_Int_Tables_number 12
_cell_length_a 9.472
_cell_length_b 7.029
_cell_length_c 7.354
_cell_angle_alpha 90.00
_cell_angle_beta 109.91
_cell_angle_gamma 90.00
loop_
_symmetry_equiv_pos_as_xyz
'x,y,z'
'-x,-y,-z'
'-x,y,-z'
'x,-y,z'
'x+1/2,y+1/2,z'
'-x+1/2,-y+1/2,-z'
'-x+1/2,y+1/2,-z'
'x+1/2,-y+1/2,z'
loop_
_atom_site_label
_atom_site_fract_x
_atom_site_fract_y
_atom_site_fract_z
Mn1 0.000 0.000 0.000
Mn2 0.000 0.000 0.500
Mn3 0.163 0.500 0.167
Mn4 0.188 0.500 0.653
O1 0.082 0.000 0.286
F1 0.000 0.298 0.000
F2 0.046 0.500 0.358
F3 0.171 0.192 0.652
F4 0.228 0.000 0.036
```